Computed, not measured: a relaxed structure of Na5Fe2P2C2O14 at the PBE with a Hubbard U level of DFT.

a = 8.440 Å, b = 8.440 Å, c = 9.019 Å
α = 89.28°, β = 89.96°, γ = 76.80°
Positions (direct):
Na 0.007 0.258 0.421
Na 0.116 0.880 0.240
Na 0.361 0.623 0.764
Na 0.382 0.111 0.233
Na 0.479 0.256 0.584
Na 0.521 0.744 0.416
Na 0.618 0.889 0.767
Na 0.639 0.377 0.236
Na 0.884 0.120 0.760
Na 0.993 0.742 0.579
Fe 0.233 0.022 0.842
Fe 0.260 0.483 0.144
Fe 0.740 0.517 0.856
Fe 0.767 0.978 0.158
P 0.022 0.728 0.920
P 0.476 0.768 0.082
P 0.524 0.232 0.918
P 0.978 0.272 0.080
C 0.248 0.511 0.426
C 0.261 0.983 0.552
C 0.739 0.017 0.448
C 0.752 0.489 0.574
O 0.046 0.194 0.935
O 0.085 0.845 0.812
O 0.110 0.332 0.172
O 0.144 0.090 0.613
O 0.150 0.609 0.336
O 0.171 0.582 0.957
O 0.243 0.528 0.566
O 0.274 0.973 0.410
O 0.326 0.908 0.048
O 0.352 0.390 0.363
O 0.367 0.888 0.638
O 0.403 0.168 0.819
O 0.423 0.630 0.173
O 0.445 0.303 0.068
O 0.555 0.697 0.932
O 0.577 0.370 0.827
O 0.597 0.832 0.181
O 0.633 0.112 0.362
O 0.648 0.610 0.637
O 0.674 0.092 0.952
O 0.726 0.027 0.590
O 0.757 0.472 0.434
O 0.829 0.418 0.043
O 0.850 0.391 0.664
O 0.856 0.910 0.387
O 0.890 0.668 0.828
O 0.915 0.155 0.188
O 0.954 0.806 0.065

* space group: P-1
* E_form: -2260 meV per atom
* excess energy over the best structure of this formula in the dataset: 5 meV per atom
* theoretical density: 2.849 g/cm3
* electronic total energy: -6.579 eV per atom